[1]
DFT (PBE) results for a relaxed structure of Si2H25C10N.

Lattice parameters (Å, degrees): 9.085 13.129 13.441 90.00 109.75 90.00
Space group P2_1/c (No. 14)
Asymmetric unit:
Si  0.096  0.071  0.008
Si  0.164  0.582  0.718
H  0.024  0.713  0.422
H  0.025  0.595  0.134
H  0.059  0.582  0.272
H  0.063  0.670  0.728
H  0.068  0.241  0.489
H  0.091  0.024  0.698
H  0.140  0.610  0.940
H  0.184  0.226  0.120
H  0.209  0.010  0.500
H  0.215  0.150  0.263
H  0.249  0.155  0.401
H  0.256  0.733  0.120
H  0.265  0.121  0.904
H  0.294  0.510  0.441
H  0.315  0.656  0.565
H  0.316  0.715  0.314
H  0.335  0.570  0.959
H  0.381  0.087  0.035
H  0.381  0.087  0.354
H  0.392  0.112  0.736
H  0.416  0.689  0.904
H  0.458  0.745  0.641
H  0.477  0.517  0.690
H  0.483  0.028  0.671
H  0.483  0.238  0.163
C  0.014  0.542  0.195
C  0.079  0.204  0.053
C  0.157  0.010  0.330
C  0.213  0.544  0.938
C  0.257  0.106  0.337
C  0.275  0.066  0.969
C  0.346  0.707  0.635
C  0.363  0.648  0.736
C  0.404  0.725  0.828
C  0.498  0.571  0.756
N  0.077  0.528  0.592

Results
As for the uncorrected energy: -816.579 eV/cell. The calculated volume is 377 Å³/f.u. The polymorph energy (0 for the lowest one) is 0.000 eV per atom. The value obtained for the formation energy is -0.2162 eV/atom.

[2]
DFT (PBE) results for a relaxed structure of Si5H42C14N2.

Lattice parameters (Å, degrees): 15.748 13.492 13.429 90.00 90.00 90.00
Space group Pbcn (No. 60)
Asymmetric unit:
Si  0.000  0.199  0.250
Si  0.082  0.229  0.043
Si  0.137  0.360  0.214
H  0.004  0.187  0.892
H  0.038  0.060  0.368
H  0.051  0.488  0.681
H  0.053  0.278  0.541
H  0.058  0.152  0.504
H  0.068  0.405  0.377
H  0.102  0.065  0.259
H  0.107  0.393  0.961
H  0.111  0.049  0.078
H  0.124  0.146  0.360
H  0.125  0.495  0.082
H  0.143  0.307  0.394
H  0.152  0.086  0.960
H  0.152  0.293  0.893
H  0.161  0.461  0.699
H  0.179  0.430  0.373
H  0.206  0.341  0.998
H  0.208  0.117  0.071
H  0.208  0.127  0.740
H  0.226  0.162  0.615
H  0.236  0.252  0.712
C  0.017  0.210  0.533
C  0.073  0.110  0.318
C  0.116  0.488  0.162
C  0.130  0.376  0.353
C  0.143  0.323  0.968
C  0.144  0.109  0.038
C  0.248  0.174  0.692
N  0.065  0.269  0.168

Results
As for the uncorrected energy: -1325.871 eV/cell. The calculated volume is 713 Å³/f.u. The value obtained for the formation energy is -0.2650 eV/atom.